(1)
VASP calculation (PBE) on a geometry-optimized Mg3P2O8 structure.

Cell and atoms, written as POSCAR:
```
Mg3P2O8
1.0
4.791 0.000 0.000
0.000 5.982 0.000
0.000 0.059 10.330
O Mg P
16 6 4
Cartesian
1.094 3.229 6.832 O
0.890 4.478 4.721 O
1.210 1.710 9.249 O
1.505 4.508 9.886 O
3.900 1.563 5.609 O
3.905 0.379 3.319 O
3.490 2.842 8.662 O
3.286 1.534 0.444 O
1.509 5.633 1.845 O
3.606 4.361 6.246 O
1.185 1.681 4.084 O
3.282 0.409 8.484 O
3.580 4.331 1.081 O
3.697 2.812 3.497 O
0.886 5.662 7.010 O
1.301 3.199 1.667 O
2.437 4.602 8.035 Mg
2.354 1.440 2.295 Mg
0.041 1.469 7.460 Mg
0.000 2.991 0.000 Mg
4.750 4.572 2.870 Mg
2.395 3.021 5.165 Mg
0.349 4.481 6.174 P
4.442 1.560 4.156 P
2.047 4.451 1.009 P
2.744 1.590 9.321 P
```

Results
Energy above the most stable polymorph in this dataset   0.014 eV/atom
Total DFT energy (no corrections)   -6.875 eV per atom
Calculated formation energy   -3.0511 eV per atom
Crystal system   monoclinic

(2)
VASP calculation (PBE) on a geometry-optimized MgPO4 structure.

Cell and atoms, written as POSCAR:
```
MgPO4
1.0
3.998 9.429 0.000
-3.998 9.429 0.000
0.000 2.610 8.533
P O Mg
8 32 8
Cartesian
-1.424 12.336 3.541 P
0.368 15.894 2.002 P
0.368 4.269 2.264 P
-0.368 5.574 6.531 P
1.424 9.131 4.992 P
1.424 13.641 7.808 P
-0.368 17.199 6.268 P
-1.424 7.826 0.725 P
-1.996 8.689 4.583 O
0.907 15.044 8.179 O
-0.717 8.347 2.013 O
-2.990 7.668 1.108 O
-1.330 11.399 8.097 O
0.717 9.652 6.279 O
-1.361 16.991 7.429 O
1.996 12.779 3.950 O
-1.330 11.373 4.702 O
0.368 14.652 1.105 O
1.008 17.618 6.761 O
-0.907 13.739 3.912 O
1.361 15.686 3.163 O
-2.990 12.495 3.158 O
0.368 5.511 3.162 O
0.717 13.121 6.520 O
1.330 10.094 3.831 O
1.330 10.068 0.435 O
-1.361 5.782 5.370 O
-1.996 14.084 8.216 O
1.008 5.155 6.039 O
-1.008 3.850 1.772 O
-0.368 15.957 5.371 O
-1.008 16.313 2.494 O
2.990 13.800 7.424 O
2.990 8.973 5.375 O
1.361 4.476 1.104 O
-0.368 6.816 7.428 O
1.996 7.384 0.316 O
-0.907 6.423 0.354 O
-0.717 11.816 2.254 O
0.907 7.728 4.621 O
-0.865 13.110 0.510 Mg
0.865 14.415 4.777 Mg
-1.999 4.714 0.000 Mg
1.999 6.019 4.266 Mg
-0.865 7.053 3.756 Mg
0.370 10.081 2.133 Mg
-0.370 11.386 6.400 Mg
0.865 8.358 8.023 Mg
```

Results
Total DFT energy (no corrections)   -6.578 eV per atom
Calculated formation energy   -2.5683 eV per atom
Crystal system   monoclinic

(3)
VASP calculation (PBE) on a geometry-optimized MgSn3P2S4O24 structure.

Cell and atoms, written as POSCAR:
```
MgSn3P2S4O24
1.0
8.748 -0.006 0.009
-4.379 7.582 0.013
0.022 0.052 22.579
O Sn S P Mg
72 9 12 6 3
Cartesian
2.758 2.760 9.609 O
2.786 7.412 9.233 O
0.655 3.451 10.629 O
6.052 2.806 14.430 O
-1.707 4.787 8.225 O
1.101 3.721 8.225 O
2.668 7.330 15.755 O
1.655 4.898 13.023 O
-1.620 5.301 17.096 O
2.741 2.378 16.741 O
-2.648 7.308 4.463 O
1.642 5.255 5.809 O
5.025 4.159 0.686 O
6.091 2.288 11.930 O
2.716 2.776 3.137 O
-0.595 3.504 21.943 O
-1.083 3.756 19.434 O
1.694 0.229 6.856 O
5.024 6.027 18.146 O
5.478 1.152 0.680 O
-3.276 6.283 15.728 O
0.575 6.648 8.197 O
3.425 6.336 20.521 O
1.055 6.389 10.697 O
-0.658 6.598 13.026 O
3.731 0.962 14.382 O
7.067 0.281 18.136 O
1.705 5.390 21.948 O
1.001 6.397 17.108 O
1.720 4.820 19.439 O
7.115 0.170 2.054 O
0.655 3.579 17.100 O
-0.622 1.530 20.506 O
5.027 6.070 2.065 O
3.446 3.866 20.877 O
1.645 0.200 13.340 O
3.770 1.093 20.871 O
-0.599 6.710 19.445 O
5.043 4.096 16.762 O
0.651 6.572 1.733 O
5.032 0.935 3.093 O
5.362 3.872 9.590 O
0.939 3.774 1.712 O
0.935 1.284 2.052 O
-3.379 6.274 9.232 O
-1.723 5.325 10.629 O
-1.053 6.412 21.968 O
3.324 3.911 14.385 O
2.674 2.255 0.633 O
3.736 4.174 11.965 O
5.374 1.217 16.754 O
4.981 1.061 9.591 O
-2.754 7.433 20.524 O
3.714 4.061 5.469 O
7.828 1.312 13.350 O
0.640 1.660 15.738 O
-1.643 4.886 1.727 O
3.280 6.242 4.444 O
7.718 1.376 6.861 O
0.685 1.539 9.230 O
1.081 1.390 18.136 O
-0.994 6.375 5.813 O
5.966 2.751 20.907 O
6.027 2.364 5.457 O
3.724 6.015 6.857 O
5.439 3.886 3.101 O
-0.626 1.656 4.450 O
-0.640 3.573 5.832 O
3.272 1.182 11.972 O
3.405 1.188 5.463 O
-0.919 3.813 12.978 O
3.731 6.093 13.349 O
4.349 2.565 22.114 Sn
0.023 0.047 19.379 Sn
0.020 5.020 0.461 Sn
0.012 5.096 18.456 Sn
0.022 5.111 7.042 Sn
0.029 0.042 3.309 Sn
4.443 2.504 10.827 Sn
8.736 0.059 14.593 Sn
0.008 5.072 11.740 Sn
6.200 0.050 16.954 S
5.633 0.329 1.917 S
5.643 4.715 1.926 S
3.118 4.734 13.209 S
5.650 5.391 16.957 S
1.277 2.839 9.411 S
7.449 2.201 5.695 S
3.128 0.359 13.211 S
1.316 2.254 16.950 S
2.541 0.047 5.685 S
-2.557 5.106 9.405 S
3.147 5.376 5.685 S
6.910 2.572 13.222 P
1.855 2.545 1.929 P
-1.274 2.903 20.716 P
2.556 5.089 20.716 P
-1.240 7.298 20.730 P
1.312 7.268 9.421 P
4.332 2.541 4.222 Mg
4.432 2.569 15.519 Mg
4.330 7.589 8.008 Mg
```

Results
Total DFT energy (no corrections)   -6.358 eV per atom
Calculated formation energy   -2.1439 eV per atom
Crystal system   triclinic

(4)
VASP calculation (PBE) on a geometry-optimized MgZr3P2S4O24 structure.

Cell and atoms, written as POSCAR:
```
MgZr3P2S4O24
1.0
8.921 -0.005 0.002
-4.465 7.741 -0.001
0.006 0.001 23.000
O Zr S P Mg
72 9 12 6 3
Cartesian
-0.640 3.580 22.317 O
6.142 2.355 12.185 O
1.691 5.402 22.320 O
7.927 1.355 13.652 O
0.688 6.753 1.734 O
-0.670 1.608 4.560 O
1.062 1.398 18.423 O
0.677 3.546 10.779 O
7.194 0.212 18.428 O
3.395 3.967 14.632 O
-1.736 5.369 10.777 O
7.210 0.179 2.133 O
2.770 2.350 0.687 O
3.781 0.964 14.632 O
-0.665 1.557 20.842 O
-0.982 3.802 13.155 O
1.718 0.183 13.627 O
2.743 2.794 9.813 O
0.990 3.789 1.703 O
-1.724 5.365 17.420 O
-2.747 7.516 4.564 O
3.779 4.190 12.221 O
2.769 2.382 17.007 O
1.726 5.350 5.952 O
5.133 4.160 17.040 O
-0.702 6.747 13.220 O
-1.038 3.807 19.834 O
5.539 1.179 0.730 O
3.454 6.385 20.847 O
5.149 0.970 3.137 O
-1.730 4.984 1.734 O
1.685 4.931 19.829 O
5.144 6.135 18.431 O
0.692 3.561 17.416 O
0.628 6.695 8.353 O
6.143 2.810 14.678 O
0.993 1.348 2.154 O
-3.433 6.370 9.370 O
6.167 2.393 5.516 O
5.140 4.198 0.730 O
5.478 1.189 17.031 O
-1.055 6.542 5.946 O
7.867 1.395 6.948 O
5.484 3.988 9.787 O
1.725 0.210 6.961 O
3.405 6.354 4.558 O
0.685 1.589 16.043 O
-3.427 6.360 16.042 O
5.136 6.150 2.138 O
5.521 3.967 3.135 O
-1.726 4.923 8.386 O
3.470 3.939 21.285 O
5.108 0.997 9.801 O
6.121 2.768 21.319 O
2.824 7.549 9.353 O
-1.040 6.501 22.330 O
3.775 4.153 5.544 O
3.774 6.145 13.630 O
2.786 2.803 3.188 O
0.999 6.503 10.812 O
-0.647 6.729 19.830 O
-0.685 3.574 5.971 O
0.698 1.574 9.373 O
1.723 4.971 13.226 O
1.050 3.774 8.392 O
3.784 6.123 6.953 O
3.388 1.188 12.227 O
1.039 6.545 17.419 O
-2.779 7.546 20.846 O
3.454 1.175 5.543 O
3.812 1.022 21.277 O
2.745 7.527 16.049 O
0.022 5.112 0.519 Zr
4.397 2.561 22.466 Zr
0.031 5.222 7.094 Zr
0.011 0.002 19.759 Zr
0.021 5.156 11.984 Zr
8.891 0.037 14.801 Zr
-0.011 5.157 18.713 Zr
4.557 2.518 10.946 Zr
0.025 0.052 3.322 Zr
5.733 4.787 1.963 S
2.564 0.058 5.783 S
5.726 5.467 17.234 S
1.347 2.242 17.235 S
3.195 0.363 13.455 S
7.582 2.215 5.780 S
6.318 0.033 17.244 S
5.731 0.362 1.962 S
3.239 5.480 5.767 S
-2.594 5.213 9.555 S
1.276 2.884 9.560 S
3.188 4.778 13.450 S
-1.303 2.938 21.093 P
-1.268 7.372 21.099 P
2.562 5.154 21.086 P
6.999 2.606 13.469 P
1.934 2.591 1.979 P
1.353 7.363 9.557 P
4.394 7.735 8.138 Mg
4.402 2.594 4.316 Mg
4.526 2.598 15.814 Mg
```

Results
Total DFT energy (no corrections)   -7.305 eV per atom
Calculated formation energy   -2.6905 eV per atom
Crystal system   triclinic

(5)
VASP calculation (PBE) on a geometry-optimized MgSb2P2O10 structure.

Cell and atoms, written as POSCAR:
```
MgSb2P2O10
1.0
-1.828 2.423 -4.612
2.007 -4.390 -2.625
-6.394 -2.279 4.018
O Sb Mg P
10 2 1 2
Cartesian
-2.973 -5.504 0.166 O
-4.514 -0.589 -1.724 O
-2.372 -2.237 -3.384 O
-4.021 -1.969 0.319 O
-0.064 -3.396 -3.375 O
-5.402 -2.973 -1.476 O
-1.588 -3.604 -1.344 O
-0.706 -1.315 -1.922 O
-3.300 1.150 -3.308 O
-6.411 -1.125 -0.075 O
-1.238 -5.466 -0.635 Sb
-5.923 -4.135 -3.161 Sb
-2.475 -0.321 -2.270 Mg
-1.098 -2.681 -2.515 P
-5.119 -1.666 -0.734 P
```

Results
Energy above the most stable polymorph in this dataset   0.000 eV/atom
Total DFT energy (no corrections)   -6.595 eV per atom
Calculated formation energy   -2.3751 eV per atom
Crystal system   triclinic

(6)
VASP calculation (PBE) on a geometry-optimized MgSb2P2O10 structure.

Cell and atoms, written as POSCAR:
```
MgSb2P2O10
1.0
-0.642 -10.150 1.016
-3.517 -5.577 6.088
-4.886 -3.966 -3.912
Sb Mg O P
4 2 20 4
Cartesian
-6.079 -14.201 -0.427 Sb
-3.332 -7.213 0.948 Sb
-5.385 -15.502 4.899 Sb
-3.610 -12.644 1.929 Sb
-6.190 -9.716 1.845 Mg
-8.451 -14.639 2.642 Mg
-5.088 -11.878 3.176 O
-7.476 -8.481 0.747 O
-3.722 -10.760 -1.625 O
-7.162 -13.372 3.544 O
-5.373 -12.623 -1.462 O
-5.207 -7.717 0.202 O
-4.016 -7.043 4.704 O
-4.076 -5.772 2.098 O
-7.274 -10.766 3.297 O
-2.586 -8.921 0.369 O
-2.477 -11.083 2.227 O
-2.098 -3.579 2.372 O
-5.450 -10.778 0.295 O
-2.692 -9.138 4.423 O
-1.180 -6.352 1.702 O
-4.878 -8.814 3.088 O
-4.866 -13.928 1.078 O
-1.286 -3.655 -0.414 O
-2.769 -6.241 -0.725 O
-7.688 -16.067 1.435 O
-4.152 -8.583 4.407 P
-5.182 -11.087 -1.172 P
-6.505 -12.026 3.817 P
-6.709 -7.341 -0.003 P
```

Results
Energy above the most stable polymorph in this dataset   0.059 eV/atom
Total DFT energy (no corrections)   -6.536 eV per atom
Calculated formation energy   -2.3161 eV per atom
Crystal system   orthorhombic

(7)
VASP calculation (PBE) on a geometry-optimized MgSb2P2O9 structure.

Cell and atoms, written as POSCAR:
```
MgSb2P2O9
1.0
6.695 0.000 0.000
0.000 6.948 0.000
0.000 0.000 15.788
O Sb P Mg
36 8 8 4
Cartesian
2.704 6.422 2.362 O
4.038 5.211 6.619 O
0.644 6.422 10.256 O
2.787 3.051 5.602 O
5.132 1.737 15.393 O
4.074 5.211 0.549 O
1.563 5.211 0.395 O
2.704 3.999 2.362 O
3.908 3.897 10.186 O
2.657 1.737 9.169 O
1.784 5.211 8.289 O
1.631 1.737 3.756 O
6.051 0.525 5.532 O
2.787 0.423 5.602 O
5.064 5.211 12.032 O
2.601 5.211 11.956 O
0.726 1.737 7.345 O
3.908 6.525 10.186 O
6.135 6.525 2.292 O
2.622 1.737 15.240 O
6.051 2.949 5.532 O
0.747 5.211 4.062 O
0.561 3.051 13.496 O
4.094 1.737 3.832 O
0.691 1.737 1.275 O
6.135 3.897 2.292 O
6.005 5.211 14.513 O
3.992 0.525 13.426 O
4.979 5.211 4.138 O
1.716 1.737 11.650 O
0.561 0.423 13.496 O
4.911 1.737 7.499 O
5.949 1.737 11.726 O
0.644 3.999 10.256 O
5.969 5.211 8.443 O
3.992 2.949 13.426 O
3.348 3.474 7.894 Sb
3.348 0.000 7.894 Sb
2.679 1.737 1.851 Sb
6.026 5.211 6.043 Sb
0.669 1.737 9.745 Sb
0.000 0.000 0.000 Sb
4.017 5.211 13.937 Sb
0.000 3.474 0.000 Sb
3.837 5.211 11.008 P
2.858 1.737 4.781 P
0.543 5.211 9.290 P
6.152 1.737 6.498 P
0.489 1.737 12.675 P
3.891 1.737 14.392 P
6.206 5.211 3.114 P
2.804 5.211 1.396 P
6.174 1.737 3.642 Mg
3.869 1.737 11.536 Mg
2.826 5.211 4.252 Mg
0.521 5.211 12.146 Mg
```

Results
Total DFT energy (no corrections)   -6.578 eV per atom
Calculated formation energy   -2.3616 eV per atom
Crystal system   orthorhombic

(8)
VASP calculation (PBE) on a geometry-optimized MgSnP2O7 structure.

Cell and atoms, written as POSCAR:
```
MgSnP2O7
1.0
6.333 0.000 0.000
2.507 6.275 0.000
0.557 0.184 6.965
O P Mg Sn
14 4 2 2
Cartesian
3.574 2.810 1.172 O
7.777 4.105 1.555 O
5.112 6.394 4.679 O
5.823 3.649 5.793 O
6.119 1.754 0.544 O
1.621 2.354 5.410 O
4.286 0.066 2.286 O
3.654 5.258 1.765 O
5.810 4.030 3.019 O
3.588 2.429 3.946 O
1.358 1.550 2.989 O
3.279 4.705 6.421 O
5.743 1.201 5.200 O
8.040 4.909 3.975 O
2.952 4.181 0.951 P
7.061 4.904 2.775 P
2.337 1.555 4.190 P
6.445 2.278 6.014 P
5.080 2.085 2.368 Mg
4.317 4.375 4.597 Mg
7.370 5.634 5.961 Sn
2.028 0.825 1.003 Sn
```

Results
Energy above the most stable polymorph in this dataset   0.029 eV/atom
Total DFT energy (no corrections)   -6.824 eV per atom
Calculated formation energy   -2.6187 eV per atom
Crystal system   triclinic